Arrangement one

The following is a PBE with a Hubbard U calculation of an optimized crystal structure of CoTePb2O6, from the Materials Project database.

abc: 8.0944 8.0944 8.0944
angles: 90.00 90.00 90.00
With the nearest neighbours (Å) after each atom.
Space group Fm-3m (No. 225)
Unique sites:
Co 0.0000 0.0000 0.0000  6 O 2.07
Te 0.0000 0.0000 0.5000  6 O 1.98
Pb 0.2500 0.2500 0.2500  12 O 2.86
O 0.0000 0.0000 0.2554  1 Te 1.98, 1 Co 2.07

Arrangement two

The following is a PBE with a Hubbard U calculation of an optimized crystal structure of CoTePb2O6, from the Materials Project database.

abc: 8.1132 8.1172 9.8279
angles: 113.38 113.37 90.74
With the nearest neighbours (Å) after each atom.
Space group P1 (No. 1)
Unique sites:
Co 0.0000 0.0000 0.0000  6 O 2.14
Co 0.2499 0.7500 0.4999  6 O 2.14
Co 0.4999 0.5000 0.0000  6 O 2.14
Co 0.7500 0.2499 0.5000  6 O 2.14
Te 0.9998 0.4999 0.0000  6 O 1.96-1.97
Te 0.2498 0.2498 0.4999  6 O 1.96-1.97
Te 0.5001 0.0001 0.9999  6 O 1.96-1.97
Te 0.7502 0.7502 0.5000  6 O 1.96-1.97
Pb 0.1233 0.6234 0.7527  6 O 2.58-2.80
Pb 0.1270 0.1259 0.7479  6 O 2.58-2.80
Pb 0.3737 0.3746 0.2530  6 O 2.58-2.80
Pb 0.3764 0.8767 0.2471  6 O 2.58-2.80
Pb 0.6242 0.1236 0.7524  6 O 2.58-2.81
Pb 0.6255 0.6260 0.7467  6 O 2.58-2.80
Pb 0.8738 0.8735 0.2523  6 O 2.58-2.80
Pb 0.8761 0.3763 0.2478  6 O 2.58-2.80
O 0.0010 0.7916 0.5235  1 Te 1.96, 1 Co 2.14
O 0.0375 0.2757 0.0296  1 Te 1.96, 1 Co 2.14
O 0.0898 0.6429 0.2392  1 Te 1.96, 1 Co 2.14
O 0.1603 0.1072 0.2606  1 Te 1.97, 1 Co 2.14
O 0.2119 0.4742 0.4702  1 Te 1.97, 1 Co 2.14
O 0.2496 0.9588 0.9770  1 Te 1.96, 1 Co 2.14
O 0.2508 0.5413 0.0232  1 Te 1.97, 1 Co 2.14
O 0.2880 0.0255 0.5297  1 Te 1.96, 1 Co 2.14
O 0.3397 0.3930 0.7392  1 Te 1.96, 1 Co 2.14
O 0.4102 0.8570 0.7608  1 Te 1.96, 1 Co 2.14
O 0.4616 0.2244 0.9702  1 Te 1.97, 1 Co 2.14
O 0.4992 0.7085 0.4768  1 Te 1.97, 1 Co 2.14
O 0.5004 0.2914 0.5227  1 Te 1.96, 1 Co 2.14
O 0.5381 0.7759 0.0297  1 Te 1.96, 1 Co 2.14
O 0.5900 0.1421 0.2392  1 Te 1.96, 1 Co 2.14
O 0.6601 0.6069 0.2608  1 Te 1.96, 1 Co 2.14
O 0.7120 0.9739 0.4701  1 Te 1.96, 1 Co 2.14
O 0.7490 0.4586 0.9766  1 Te 1.96, 1 Co 2.14
O 0.7503 0.0411 0.0227  1 Te 1.96, 1 Co 2.14
O 0.7877 0.5261 0.5296  1 Te 1.96, 1 Co 2.14
O 0.8396 0.8928 0.7393  1 Te 1.97, 1 Co 2.14
O 0.9096 0.3580 0.7606  1 Te 1.96, 1 Co 2.14
O 0.9627 0.7241 0.9705  1 Te 1.96, 1 Co 2.14
O 0.9993 0.2087 0.4772  1 Te 1.96, 1 Co 2.14

Decreasing stability: arrangement two, arrangement one

Arrangement one

The following is a PBE with a Hubbard U calculation of an optimized crystal structure of CrO3, from the Materials Project database.

abc: 5.0008 5.2589 7.1289
angles: 90.00 90.09 90.00
With the nearest neighbours (Å) after each atom.
Space group P2_1 (No. 4)
Unique sites:
Cr 0.2275 0.0000 0.2798  3 O 1.63-1.65
Cr 0.2439 0.0050 0.7795  3 O 1.63-1.66
O 0.0458 0.6381 0.7932  1 Cr 1.63
O 0.0504 0.6359 0.1968  1 Cr 1.63
O 0.1642 0.9172 0.4987  1 Cr 1.65
O 0.3436 0.9559 0.9981  1 Cr 1.66
O 0.4378 0.2380 0.7050  1 Cr 1.65
O 0.4457 0.2318 0.2984  1 Cr 1.64

Arrangement two

The following is a PBE with a Hubbard U calculation of an optimized crystal structure of CrO3, from the Materials Project database.

abc: 5.8516 9.5715 4.5698
angles: 90.00 90.00 90.00
With the nearest neighbours (Å) after each atom.
Space group Pnma (No. 62)
Unique sites:
Cr 0.0404 0.2500 0.0377  4 O 1.59-1.78
O 0.0557 0.1164 0.8312  1 Cr 1.59
O 0.2283 0.7500 0.7815  2 Cr 1.75-1.78

Decreasing stability: arrangement two, arrangement one

Arrangement one

The following is a PBE with a Hubbard U calculation of an optimized crystal structure of CrO3, from the Materials Project database.

abc: 3.6667 3.6667 3.6667
angles: 90.00 90.00 90.00
With the nearest neighbours (Å) after each atom.
Space group Pm-3m (No. 221)
Unique sites:
Cr 0.0000 0.0000 0.0000  6 O 1.83
O 0.0000 0.0000 0.5000  2 Cr 1.83

Arrangement two

The following is a PBE with a Hubbard U calculation of an optimized crystal structure of CrO3, from the Materials Project database.

abc: 3.4256 3.4256 10.6443
angles: 90.00 90.00 120.00
With the nearest neighbours (Å) after each atom.
Space group P6_3/mmc (No. 194)
Unique sites:
Cr 0.3333 0.6667 0.2500  2 O 1.71
O 0.0000 0.0000 0.2500  3 Cr 1.98
O 0.3333 0.6667 0.0890  1 Cr 1.71

Decreasing stability: arrangement one, arrangement two